(1)
Here is crystalline CrN2 at its relaxed geometry from the Materials Project. Energies are from PBE-GGA.

- Formation energy: -0.11 eV/atom
- Total moment: 0.0 Bohr magnetons per cell

The structure in CIF format:
```
data_CrN2
_chemical_formula_sum 'Cr8 N16'
_space_group_name_H-M_alt 'C 2 2 21'
_space_group_IT_number 20
_space_group_name_Hall 'C 2c 2'
_cell_length_a 5.661
_cell_length_b 9.802
_cell_length_c 9.194
_cell_angle_alpha 90.00
_cell_angle_beta 90.00
_cell_angle_gamma 90.00
loop_
_atom_site_label
_atom_site_type_symbol
_atom_site_fract_x
_atom_site_fract_y
_atom_site_fract_z
Cr1 Cr 0.003 0.167 0.062
N1 N 0.000 0.168 0.250
N2 N 0.019 0.000 0.000
N3 N 0.233 0.259 0.003
```

=====

(2)
Here is crystalline Ca7Tl3N2 at its relaxed geometry from the Materials Project. Energies are from PBE-GGA.

- Formation energy: -0.69 eV/atom

The structure in CIF format:
```
data_Ca7Tl3N2
_chemical_formula_sum 'Ca14 Tl6 N4'
_space_group_name_H-M_alt 'C m m m'
_space_group_IT_number 65
_space_group_name_Hall '-C 2 2'
_cell_length_a 4.968
_cell_length_b 24.887
_cell_length_c 4.886
_cell_angle_alpha 90.00
_cell_angle_beta 90.00
_cell_angle_gamma 90.00
loop_
_atom_site_label
_atom_site_type_symbol
_atom_site_fract_x
_atom_site_fract_y
_atom_site_fract_z
Ca1 Ca 0.000 0.000 0.000
Ca2 Ca 0.000 0.099 0.500
Ca3 Ca 0.000 0.196 0.000
Ca4 Ca 0.000 0.400 0.000
Tl1 Tl 0.000 0.293 0.500
Tl2 Tl 0.000 0.500 0.500
N1 N 0.000 0.103 0.000
```

=====

(3)
Here is crystalline Y2O3 at its relaxed geometry from the Materials Project. Energies are from PBE-GGA.

- Formation energy: -3.71 eV/atom
- Total moment: 0.0 Bohr magnetons per cell

The structure in CIF format:
```
data_Y2O3
_chemical_formula_sum 'Y40 O60'
_space_group_name_H-M_alt 'P 1'
_space_group_IT_number 1
_space_group_name_Hall 'P 1'
_cell_length_a 11.414
_cell_length_b 11.839
_cell_length_c 11.891
_cell_angle_alpha 96.53
_cell_angle_beta 92.59
_cell_angle_gamma 94.38
loop_
_atom_site_label
_atom_site_type_symbol
_atom_site_fract_x
_atom_site_fract_y
_atom_site_fract_z
Y1 Y 0.000 0.000 0.000
Y2 Y 0.004 0.693 0.119
Y3 Y 0.047 0.927 0.664
Y4 Y 0.054 0.395 0.403
Y5 Y 0.076 0.437 0.853
Y6 Y 0.091 0.756 0.393
Y7 Y 0.106 0.198 0.576
Y8 Y 0.117 0.086 0.297
Y9 Y 0.123 0.310 0.082
Y10 Y 0.180 0.788 0.862
Y11 Y 0.182 0.586 0.619
Y12 Y 0.268 0.851 0.219
Y13 Y 0.270 0.100 0.808
Y14 Y 0.291 0.549 0.351
Y15 Y 0.300 0.628 0.056
Y16 Y 0.340 0.010 0.494
Y17 Y 0.353 0.125 0.103
Y18 Y 0.364 0.316 0.646
Y19 Y 0.390 0.362 0.948
Y20 Y 0.394 0.796 0.695
Y21 Y 0.435 0.251 0.381
Y22 Y 0.475 0.869 0.965
Y23 Y 0.503 0.795 0.408
Y24 Y 0.530 0.552 0.552
Y25 Y 0.552 0.581 0.866
Y26 Y 0.587 0.677 0.157
Y27 Y 0.608 0.303 0.781
Y28 Y 0.608 0.369 0.181
Y29 Y 0.620 0.985 0.222
Y30 Y 0.630 0.066 0.521
Y31 Y 0.681 0.807 0.667
Y32 Y 0.685 0.081 0.975
Y33 Y 0.738 0.352 0.539
Y34 Y 0.769 0.815 0.940
Y35 Y 0.792 0.584 0.387
Y36 Y 0.812 0.398 0.989
Y37 Y 0.817 0.220 0.292
Y38 Y 0.825 0.890 0.400
Y39 Y 0.858 0.563 0.746
Y40 Y 0.881 0.198 0.772
O1 O 0.072 0.600 0.774
O2 O 0.079 0.901 0.279
O3 O 0.081 0.136 0.130
O4 O 0.102 0.959 0.853
O5 O 0.112 0.584 0.448
O6 O 0.161 0.399 0.256
O7 O 0.166 0.393 0.564
O8 O 0.173 0.772 0.043
O9 O 0.178 0.663 0.225
O10 O 0.192 0.779 0.671
O11 O 0.203 0.263 0.740
O12 O 0.207 0.032 0.627
O13 O 0.219 0.450 0.992
O14 O 0.243 0.164 0.444
O15 O 0.258 0.210 0.979
O16 O 0.289 0.834 0.403
O17 O 0.292 0.039 0.239
O18 O 0.341 0.931 0.846
O19 O 0.354 0.704 0.881
O20 O 0.356 0.637 0.547
O21 O 0.402 0.422 0.436
O22 O 0.424 0.794 0.125
O23 O 0.425 0.439 0.792
O24 O 0.428 0.277 0.197
O25 O 0.432 0.213 0.797
O26 O 0.434 0.645 0.286
O27 O 0.462 0.168 0.546
O28 O 0.462 0.547 0.033
O29 O 0.485 0.904 0.584
O30 O 0.501 0.987 0.372
O31 O 0.506 0.048 0.057
O32 O 0.541 0.672 0.711
O33 O 0.568 0.387 0.616
O34 O 0.581 0.350 0.995
O35 O 0.609 0.887 0.833
O36 O 0.637 0.274 0.365
O37 O 0.640 0.692 0.488
O38 O 0.651 0.886 0.064
O39 O 0.661 0.820 0.295
O40 O 0.663 0.542 0.249
O41 O 0.681 0.663 0.997
O42 O 0.714 0.473 0.832
O43 O 0.724 0.208 0.645
O44 O 0.737 0.928 0.553
O45 O 0.739 0.228 0.886
O46 O 0.752 0.102 0.147
O47 O 0.756 0.057 0.373
O48 O 0.771 0.537 0.576
O49 O 0.792 0.340 0.154
O50 O 0.822 0.745 0.767
O51 O 0.843 0.014 0.903
O52 O 0.862 0.407 0.398
O53 O 0.914 0.692 0.295
O54 O 0.925 0.374 0.724
O55 O 0.935 0.834 0.039
O56 O 0.960 0.539 0.988
O57 O 0.971 0.837 0.507
O58 O 0.975 0.090 0.652
O59 O 0.983 0.299 0.942
O60 O 0.998 0.206 0.392
```

=====

(4)
Here is crystalline Fe2GeSe4 at its relaxed geometry from the Materials Project. Energies are from PBE-GGA.

- Formation energy: -0.40 eV/atom
- Total moment: 13.2 Bohr magnetons per cell

The structure in CIF format:
```
data_Fe2GeSe4
_chemical_formula_sum 'Fe8 Ge4 Se16'
_space_group_name_H-M_alt 'P n m a'
_space_group_IT_number 62
_space_group_name_Hall '-P 2ac 2n'
_cell_length_a 12.558
_cell_length_b 7.344
_cell_length_c 6.183
_cell_angle_alpha 90.00
_cell_angle_beta 90.00
_cell_angle_gamma 90.00
loop_
_atom_site_label
_atom_site_type_symbol
_atom_site_fract_x
_atom_site_fract_y
_atom_site_fract_z
Fe1 Fe 0.000 0.000 0.000
Fe2 Fe 0.227 0.250 0.498
Ge1 Ge 0.090 0.750 0.571
Se1 Se 0.077 0.250 0.222
Se2 Se 0.089 0.750 0.166
Se3 Se 0.163 0.008 0.771
```

=====

(5)
Here is crystalline Sc2O3 at its relaxed geometry from the Materials Project. Energies are from PBE-GGA.

- Formation energy: -3.84 eV/atom
- Total moment: 0.0 Bohr magnetons per cell

The structure in CIF format:
```
data_Sc2O3
_chemical_formula_sum 'Sc2 O3'
_space_group_name_H-M_alt 'P -3 m 1'
_space_group_IT_number 164
_space_group_name_Hall '-P 3 2"'
_cell_length_a 3.3897
_cell_length_b 3.3897
_cell_length_c 5.6660
_cell_angle_alpha 90.00
_cell_angle_beta 90.00
_cell_angle_gamma 120.00
loop_
_atom_site_label
_atom_site_type_symbol
_atom_site_fract_x
_atom_site_fract_y
_atom_site_fract_z
Sc1 Sc 0.3333 0.6667 0.2488
O1 O 0.0000 0.0000 0.0000
O2 O 0.3333 0.6667 0.6480
```

=====

(6)
Here is crystalline AgAsC4S8N4F6 at its relaxed geometry from the Materials Project. Energies are from PBE-GGA.

- Formation energy: -0.70 eV/atom
- Total moment: 0.0 Bohr magnetons per cell

The structure in CIF format:
```
data_AgAsC4S8N4F6
_chemical_formula_sum 'Ag1 As1 C4 S8 N4 F6'
_space_group_name_H-M_alt 'P -4'
_space_group_IT_number 81
_space_group_name_Hall 'P -4'
_cell_length_a 8.724
_cell_length_b 8.724
_cell_length_c 6.665
_cell_angle_alpha 90.00
_cell_angle_beta 90.00
_cell_angle_gamma 90.00
loop_
_atom_site_label
_atom_site_type_symbol
_atom_site_fract_x
_atom_site_fract_y
_atom_site_fract_z
Ag1 Ag 0.000 0.000 0.000
As1 As 0.500 0.500 0.000
C1 C 0.101 0.271 0.664
S1 S 0.032 0.390 0.269
S2 S 0.205 0.362 0.490
N1 N 0.035 0.202 0.789
F1 F 0.323 0.601 0.001
F2 F 0.500 0.500 0.267
```